This record from Materials Project describes SrGa12O19 after structural relaxation. The functional is GGA-PBE.

a b c (Å): 5.8758 5.8758 23.1330
angles (deg): 90.00 90.00 120.00
Fractional coordinates of all 64 atoms:
Sr: 0.3333 0.6667 0.0000
Sr: 0.6667 0.3333 0.5000
Ga: 0.0000 0.0000 0.0080
Ga: 0.0000 0.0000 0.2511
Ga: 0.0000 0.0000 0.5080
Ga: 0.0000 0.0000 0.7511
Ga: 0.1677 0.3354 0.8605
Ga: 0.1677 0.8323 0.8605
Ga: 0.1690 0.3380 0.1418
Ga: 0.1690 0.8310 0.1418
Ga: 0.3333 0.6667 0.2782
Ga: 0.3333 0.6667 0.4402
Ga: 0.3333 0.6667 0.5609
Ga: 0.3333 0.6667 0.7237
Ga: 0.3354 0.1677 0.3605
Ga: 0.3380 0.1690 0.6418
Ga: 0.6620 0.8310 0.1418
Ga: 0.6646 0.8323 0.8605
Ga: 0.6667 0.3333 0.0609
Ga: 0.6667 0.3333 0.2237
Ga: 0.6667 0.3333 0.7782
Ga: 0.6667 0.3333 0.9402
Ga: 0.8310 0.1690 0.6418
Ga: 0.8310 0.6620 0.6418
Ga: 0.8323 0.1677 0.3605
Ga: 0.8323 0.6646 0.3605
O: 0.0000 0.0000 0.1004
O: 0.0000 0.0000 0.3996
O: 0.0000 0.0000 0.6004
O: 0.0000 0.0000 0.8996
O: 0.0095 0.5047 0.9011
O: 0.0100 0.5050 0.1006
O: 0.1552 0.3103 0.6980
O: 0.1552 0.8448 0.6980
O: 0.1558 0.3115 0.3030
O: 0.1558 0.8442 0.3030
O: 0.1819 0.3639 0.5013
O: 0.1819 0.8181 0.5013
O: 0.3103 0.1552 0.1980
O: 0.3115 0.1558 0.8030
O: 0.3333 0.6667 0.1957
O: 0.3333 0.6667 0.8059
O: 0.3639 0.1819 0.0013
O: 0.4950 0.5050 0.1006
O: 0.4953 0.5047 0.9011
O: 0.4950 0.9900 0.1006
O: 0.4953 0.9905 0.9011
O: 0.5047 0.0095 0.4011
O: 0.5050 0.0100 0.6006
O: 0.5047 0.4953 0.4011
O: 0.5050 0.4950 0.6006
O: 0.6361 0.8181 0.5013
O: 0.6667 0.3333 0.3059
O: 0.6667 0.3333 0.6957
O: 0.6885 0.8442 0.3030
O: 0.6897 0.8448 0.6980
O: 0.8181 0.1819 0.0013
O: 0.8181 0.6361 0.0013
O: 0.8442 0.1558 0.8030
O: 0.8442 0.6885 0.8030
O: 0.8448 0.1552 0.1980
O: 0.8448 0.6897 0.1980
O: 0.9900 0.4950 0.6006
O: 0.9905 0.4953 0.4011

As for the total moment: 0.0 Bohr magnetons per cell. The calculation puts the energy of formation from the pure elements at -74.778 eV per formula unit. The density comes out at 5.9 g/cm³. Its energy with MP2020 corrections is -6.463 eV per atom. Its crystal system is hexagonal. The total energy comes out at -0.44504 Ry per atom.

This record from Materials Project describes Tb3SiBr3 after structural relaxation. The functional is GGA-PBE.

a b c (Å): 10.1030 10.1030 10.1030
angles (deg): 109.47 109.47 109.47
Fractional coordinates of all 28 atoms:
Tb: 0.0126 0.0252 0.2626
Tb: 0.0126 0.4874 0.7500
Tb: 0.0252 0.2626 0.0126
Tb: 0.2374 0.2626 0.7500
Tb: 0.2374 0.4748 0.4874
Tb: 0.2626 0.0126 0.0252
Tb: 0.2626 0.7500 0.2374
Tb: 0.4748 0.4874 0.2374
Tb: 0.4874 0.2374 0.4748
Tb: 0.4874 0.7500 0.0126
Tb: 0.7500 0.0126 0.4874
Tb: 0.7500 0.2374 0.2626
Si: 0.0000 0.2500 0.5000
Si: 0.2500 0.2500 0.2500
Si: 0.2500 0.5000 0.0000
Si: 0.5000 0.0000 0.2500
Br: 0.2500 0.7546 0.7454
Br: 0.2500 0.9954 0.5046
Br: 0.5046 0.2500 0.9954
Br: 0.5046 0.7546 0.5093
Br: 0.5093 0.5046 0.7546
Br: 0.7454 0.2500 0.7546
Br: 0.7454 0.9954 0.9907
Br: 0.7546 0.5093 0.5046
Br: 0.7546 0.7454 0.2500
Br: 0.9907 0.7454 0.9954
Br: 0.9954 0.5046 0.2500
Br: 0.9954 0.9907 0.7454

The calculation puts the energy of formation from the pure elements at -11.406 eV per formula unit. The density comes out at 6.2 g/cm³. Its energy with MP2020 corrections is -5.092 eV per atom. Its crystal system is cubic. The total energy comes out at -0.35745 Ry per atom.

This record from Materials Project describes NbRh after structural relaxation. The functional is GGA-PBE.

a b c (Å): 13.8910 2.8630 4.8733
angles (deg): 90.00 90.00 90.00
Fractional coordinates of all 12 atoms:
Nb: 0.0840 0.0000 0.1761
Nb: 0.2500 0.0000 0.5464
Nb: 0.4160 0.0000 0.1761
Nb: 0.5840 0.0000 0.8239
Nb: 0.7500 0.0000 0.4536
Nb: 0.9160 0.0000 0.8239
Rh: 0.0833 0.5000 0.6771
Rh: 0.2500 0.5000 0.0397
Rh: 0.4167 0.5000 0.6771
Rh: 0.5833 0.5000 0.3229
Rh: 0.7500 0.5000 0.9603
Rh: 0.9167 0.5000 0.3229

The calculation puts the energy of formation from the pure elements at -0.790 eV per formula unit. The density comes out at 10.1 g/cm³. Its crystal system is orthorhombic. The total energy comes out at -0.67089 Ry per atom.

This record from Materials Project describes Li7Ti12NbO30 after structural relaxation. The functional is GGA-PBE.

a b c (Å): 23.7538 23.7538 23.7538
angles (deg): 12.42 12.42 12.42
Fractional coordinates of all 50 atoms:
Li: 0.0000 0.0000 0.0000
Li: 0.0520 0.0520 0.0520
Li: 0.2719 0.2719 0.2719
Li: 0.4171 0.4171 0.4171
Li: 0.5524 0.5524 0.5524
Li: 0.6346 0.6346 0.6346
Li: 0.9163 0.9163 0.9163
Ti: 0.0912 0.0912 0.0912
Ti: 0.1311 0.1311 0.1311
Ti: 0.1882 0.1882 0.1882
Ti: 0.2300 0.2300 0.2300
Ti: 0.3222 0.3222 0.3222
Ti: 0.3644 0.3644 0.3644
Ti: 0.4586 0.4586 0.4586
Ti: 0.5924 0.5924 0.5924
Ti: 0.6883 0.6883 0.6883
Ti: 0.7306 0.7306 0.7306
Ti: 0.8239 0.8239 0.8239
Ti: 0.8642 0.8642 0.8642
Nb: 0.9583 0.9583 0.9583
O: 0.0113 0.6479 0.2703
O: 0.0209 0.6743 0.4329
O: 0.0321 0.3770 0.6219
O: 0.0419 0.4009 0.7857
O: 0.0940 0.9023 0.5326
O: 0.1381 0.4835 0.8055
O: 0.1751 0.5215 0.9309
O: 0.1901 0.7891 0.3537
O: 0.2703 0.0113 0.6479
O: 0.2809 0.6513 0.8960
O: 0.2897 0.9059 0.5339
O: 0.3537 0.1901 0.7891
O: 0.3770 0.6219 0.0321
O: 0.4009 0.7857 0.0419
O: 0.4329 0.0209 0.6743
O: 0.4835 0.8055 0.1381
O: 0.5215 0.9309 0.1751
O: 0.5326 0.0940 0.9023
O: 0.5339 0.2897 0.9059
O: 0.6219 0.0321 0.3770
O: 0.6479 0.2703 0.0113
O: 0.6513 0.8960 0.2809
O: 0.6743 0.4329 0.0209
O: 0.7857 0.0419 0.4009
O: 0.7891 0.3537 0.1901
O: 0.8055 0.1381 0.4835
O: 0.8960 0.2809 0.6513
O: 0.9023 0.5326 0.0940
O: 0.9059 0.5339 0.2897
O: 0.9309 0.1751 0.5215

As for the total moment: 0.0 Bohr magnetons per cell. The calculation puts the energy of formation from the pure elements at -161.393 eV per formula unit. The density comes out at 3.7 g/cm³. Its energy with MP2020 corrections is -8.561 eV per atom. Its crystal system is trigonal. The total energy comes out at -0.59891 Ry per atom.

This record from Materials Project describes YC6N9 after structural relaxation. The functional is GGA-PBE.

a b c (Å): 7.1376 7.1376 11.3187
angles (deg): 90.00 90.00 115.99
Fractional coordinates of all 32 atoms:
Y: 0.2179 0.7821 0.7500
Y: 0.7821 0.2179 0.2500
C: 0.0581 0.2417 0.7500
C: 0.2057 0.4939 0.0690
C: 0.2057 0.4939 0.4310
C: 0.2417 0.0581 0.2500
C: 0.4939 0.2057 0.5690
C: 0.4939 0.2057 0.9310
C: 0.5061 0.7943 0.0690
C: 0.5061 0.7943 0.4310
C: 0.7583 0.9419 0.7500
C: 0.7943 0.5061 0.5690
C: 0.7943 0.5061 0.9310
C: 0.9419 0.7583 0.2500
N: 0.0399 0.9601 0.2500
N: 0.0583 0.3563 0.1109
N: 0.0583 0.3563 0.3891
N: 0.1576 0.4242 0.7500
N: 0.3563 0.0583 0.6109
N: 0.3563 0.0583 0.8891
N: 0.3605 0.6395 0.0151
N: 0.3605 0.6395 0.4849
N: 0.4242 0.1576 0.2500
N: 0.5758 0.8424 0.7500
N: 0.6395 0.3605 0.5151
N: 0.6395 0.3605 0.9849
N: 0.6437 0.9417 0.1109
N: 0.6437 0.9417 0.3891
N: 0.8424 0.5758 0.2500
N: 0.9417 0.6437 0.6109
N: 0.9417 0.6437 0.8891
N: 0.9601 0.0399 0.7500

As for the total moment: 0.0 Bohr magnetons per cell. The calculation puts the energy of formation from the pure elements at -3.261 eV per formula unit. The density comes out at 1.8 g/cm³. Its energy with MP2020 corrections is -8.758 eV per atom. Its crystal system is orthorhombic. The total energy comes out at -0.62877 Ry per atom.

This record from Materials Project describes Tm2ZnPd after structural relaxation. The functional is GGA-PBE.

a b c (Å): 4.9272 4.9272 4.9272
angles (deg): 60.00 60.00 60.00
Fractional coordinates of all 4 atoms:
Tm: 0.2500 0.2500 0.2500
Tm: 0.7500 0.7500 0.7500
Zn: 0.0000 0.0000 0.0000
Pd: 0.5000 0.5000 0.5000

The calculation puts the energy of formation from the pure elements at -2.585 eV per formula unit. The density comes out at 10.0 g/cm³. Its crystal system is cubic. The total energy comes out at -0.33032 Ry per atom.

This record from Materials Project describes Os6C17S2O17 after structural relaxation. The functional is GGA-PBE.

a b c (Å): 11.4213 14.7970 17.7069
angles (deg): 90.00 90.00 90.00
Fractional coordinates of all 168 atoms:
Os: 0.0240 0.0942 0.2690
Os: 0.0374 0.0096 0.4257
Os: 0.0452 0.0670 0.8156
Os: 0.1263 0.1934 0.3945
Os: 0.2245 0.9317 0.8030
Os: 0.2469 0.0909 0.9034
Os: 0.2531 0.9091 0.4034
Os: 0.2755 0.0683 0.3030
Os: 0.3737 0.8066 0.8945
Os: 0.4548 0.9330 0.3156
Os: 0.4626 0.9904 0.9257
Os: 0.4760 0.9058 0.7690
Os: 0.5240 0.4058 0.7310
Os: 0.5374 0.4904 0.5743
Os: 0.5452 0.4330 0.1844
Os: 0.6263 0.3066 0.6055
Os: 0.7245 0.5683 0.1970
Os: 0.7469 0.4091 0.0966
Os: 0.7531 0.5909 0.5966
Os: 0.7755 0.4317 0.6970
Os: 0.8737 0.6934 0.1055
Os: 0.9548 0.5670 0.6844
Os: 0.9626 0.5096 0.0743
Os: 0.9760 0.5942 0.2310
C: 0.0133 0.4975 0.5981
C: 0.0136 0.7621 0.1077
C: 0.0182 0.5709 0.9875
C: 0.0317 0.5291 0.3180
C: 0.0523 0.2010 0.2137
C: 0.0552 0.6680 0.6636
C: 0.0628 0.5117 0.7527
C: 0.0661 0.8928 0.4765
C: 0.1046 0.8456 0.8100
C: 0.1171 0.4732 0.0966
C: 0.1284 0.1266 0.7327
C: 0.1313 0.6277 0.2084
C: 0.1544 0.1213 0.9873
C: 0.1731 0.2509 0.4870
C: 0.2017 0.2834 0.3377
C: 0.2069 0.9337 0.6976
C: 0.2419 0.7857 0.3800
C: 0.2581 0.2143 0.8800
C: 0.2931 0.0663 0.1976
C: 0.2983 0.7166 0.8377
C: 0.3269 0.7491 0.9870
C: 0.3456 0.8787 0.4873
C: 0.3687 0.3723 0.7084
C: 0.3716 0.8734 0.2327
C: 0.3829 0.5268 0.5966
C: 0.3954 0.1544 0.3100
C: 0.4339 0.1072 0.9765
C: 0.4372 0.4883 0.2527
C: 0.4448 0.3320 0.1636
C: 0.4477 0.7990 0.7137
C: 0.4683 0.4709 0.8180
C: 0.4818 0.4291 0.4875
C: 0.4864 0.2379 0.6077
C: 0.4867 0.5025 0.0981
C: 0.5133 0.0025 0.4019
C: 0.5136 0.7379 0.8923
C: 0.5182 0.9291 0.0125
C: 0.5317 0.9709 0.6820
C: 0.5523 0.2990 0.7863
C: 0.5552 0.8320 0.3364
C: 0.5628 0.9883 0.2473
C: 0.5661 0.6072 0.5235
C: 0.6046 0.6544 0.1900
C: 0.6171 0.0268 0.9034
C: 0.6284 0.3734 0.2673
C: 0.6313 0.8723 0.7916
C: 0.6544 0.3787 0.0127
C: 0.6731 0.2491 0.5130
C: 0.7017 0.2166 0.6623
C: 0.7069 0.5663 0.3024
C: 0.7419 0.7143 0.6200
C: 0.7581 0.2857 0.1200
C: 0.7931 0.4337 0.8024
C: 0.7983 0.7834 0.1623
C: 0.8269 0.7509 0.0130
C: 0.8456 0.6213 0.5127
C: 0.8687 0.1277 0.2916
C: 0.8716 0.6266 0.7673
C: 0.8829 0.9732 0.4034
C: 0.8954 0.3456 0.6900
C: 0.9339 0.3928 0.0235
C: 0.9372 0.0117 0.7473
C: 0.9448 0.1680 0.8364
C: 0.9477 0.7010 0.2863
C: 0.9683 0.0291 0.1820
C: 0.9818 0.0709 0.5125
C: 0.9864 0.2621 0.3923
C: 0.9867 0.9975 0.9019
S: 0.1179 0.9512 0.3006
S: 0.2438 0.0676 0.4437
S: 0.2562 0.9324 0.9437
S: 0.3821 0.0488 0.8006
S: 0.6179 0.5488 0.6994
S: 0.7438 0.4324 0.5563
S: 0.7562 0.5676 0.0563
S: 0.8821 0.4512 0.1994
O: 0.0279 0.7935 0.8148
O: 0.0387 0.8309 0.5135
O: 0.0509 0.4565 0.5481
O: 0.0560 0.6076 0.9347
O: 0.0668 0.4903 0.3704
O: 0.0693 0.2663 0.1787
O: 0.0948 0.1407 0.0383
O: 0.0950 0.8095 0.1072
O: 0.1178 0.7280 0.6514
O: 0.1252 0.4749 0.7939
O: 0.1750 0.1598 0.6820
O: 0.1927 0.9376 0.6323
O: 0.2040 0.2905 0.5399
O: 0.2120 0.4480 0.1080
O: 0.2269 0.6477 0.1934
O: 0.2330 0.7085 0.3669
O: 0.2432 0.3420 0.3032
O: 0.2568 0.6580 0.8032
O: 0.2670 0.2915 0.8669
O: 0.2731 0.3523 0.6934
O: 0.2880 0.5520 0.6080
O: 0.2960 0.7095 0.0399
O: 0.3073 0.0624 0.1323
O: 0.3250 0.8402 0.1820
O: 0.3748 0.5251 0.2939
O: 0.3822 0.2720 0.1514
O: 0.4050 0.1905 0.6072
O: 0.4052 0.8593 0.5383
O: 0.4307 0.7337 0.6787
O: 0.4332 0.5097 0.8704
O: 0.4440 0.3924 0.4347
O: 0.4491 0.5435 0.0481
O: 0.4613 0.1691 0.0135
O: 0.4721 0.2065 0.3148
O: 0.5279 0.7065 0.1852
O: 0.5387 0.6691 0.4865
O: 0.5509 0.0435 0.4519
O: 0.5560 0.8924 0.0653
O: 0.5668 0.0097 0.6296
O: 0.5693 0.2337 0.8213
O: 0.5948 0.3593 0.9617
O: 0.5950 0.6905 0.8928
O: 0.6178 0.7720 0.3486
O: 0.6252 0.0251 0.2061
O: 0.6750 0.3402 0.3180
O: 0.6927 0.5624 0.3677
O: 0.7040 0.2095 0.4601
O: 0.7120 0.0520 0.8920
O: 0.7269 0.8523 0.8066
O: 0.7330 0.7915 0.6331
O: 0.7432 0.1580 0.6968
O: 0.7568 0.8420 0.1968
O: 0.7670 0.2085 0.1331
O: 0.7731 0.1477 0.3066
O: 0.7880 0.9480 0.3920
O: 0.7960 0.7905 0.9601
O: 0.8073 0.4376 0.8677
O: 0.8250 0.6598 0.8180
O: 0.8748 0.9749 0.7061
O: 0.8822 0.2280 0.8486
O: 0.9050 0.3095 0.3928
O: 0.9052 0.6407 0.4617
O: 0.9307 0.7663 0.3213
O: 0.9332 0.9903 0.1296
O: 0.9440 0.1076 0.5653
O: 0.9491 0.9565 0.9519
O: 0.9613 0.3309 0.9865
O: 0.9721 0.2935 0.6852

As for the total moment: 0.0 Bohr magnetons per cell. The calculation puts the energy of formation from the pure elements at -38.943 eV per formula unit. The density comes out at 3.7 g/cm³. Its energy with MP2020 corrections is -8.466 eV per atom. Its crystal system is orthorhombic. The total energy comes out at -0.60006 Ry per atom.

This record from Materials Project describes HgAsC4Se3N after structural relaxation. The functional is GGA-PBE.

a b c (Å): 7.1139 18.6387 10.7329
angles (deg): 90.00 127.13 90.00
Fractional coordinates of all 40 atoms:
Hg: 0.2003 0.0163 0.4281
Hg: 0.2003 0.4837 0.9281
Hg: 0.7997 0.5163 0.0719
Hg: 0.7997 0.9837 0.5719
As: 0.3408 0.5542 0.6544
As: 0.3408 0.9458 0.1544
As: 0.6592 0.0542 0.8456
As: 0.6592 0.4458 0.3456
C: 0.3243 0.1701 0.0766
C: 0.3243 0.3299 0.5766
C: 0.3572 0.6672 0.4309
C: 0.3572 0.8328 0.9309
C: 0.4641 0.7138 0.3827
C: 0.4641 0.7862 0.8827
C: 0.4753 0.6215 0.3891
C: 0.4753 0.8785 0.8891
C: 0.5247 0.1215 0.1109
C: 0.5247 0.3785 0.6109
C: 0.5359 0.2138 0.1173
C: 0.5359 0.2862 0.6173
C: 0.6428 0.1672 0.0691
C: 0.6428 0.3328 0.5691
C: 0.6757 0.6701 0.4234
C: 0.6757 0.8299 0.9234
Se: 0.0759 0.5753 0.7228
Se: 0.0759 0.9247 0.2228
Se: 0.1991 0.6715 0.5162
Se: 0.1991 0.8285 0.0162
Se: 0.2789 0.1048 0.6295
Se: 0.2789 0.3952 0.1295
Se: 0.7211 0.6048 0.8705
Se: 0.7211 0.8952 0.3705
Se: 0.8009 0.1715 0.9838
Se: 0.8009 0.3285 0.4838
Se: 0.9241 0.0753 0.7772
Se: 0.9241 0.4247 0.2772
N: 0.4370 0.6670 0.2603
N: 0.4370 0.8330 0.7603
N: 0.5630 0.1670 0.2397
N: 0.5630 0.3330 0.7397

Its offset from the most stable computed form is 0.000 eV per atom. As for the total moment: 0.0 Bohr magnetons per cell. The calculation puts the energy of formation from the pure elements at 9.582 eV per formula unit. The density comes out at 3.4 g/cm³. Its energy with MP2020 corrections is -5.112 eV per atom. Its crystal system is monoclinic. The total energy comes out at -0.37307 Ry per atom.